A geometry-optimized Ni3TeO6 structure, computed with PBE+U.

```
20
Lattice="5.166 0.000 0.000 -2.583 1.492 4.648 0.000 -8.949 0.000" Properties=species:S:1:pos:R:3 pbc="T T T"
Ni 0.000 -5.965 2.429
O -0.771 -4.655 3.950
O 1.521 -5.953 3.950
O 3.545 0.105 1.553
Ni 2.584 -4.474 0.196
O 3.303 -5.931 1.553
O -0.749 -7.288 3.950
O 1.833 -2.814 3.950
Te 0.001 -2.983 0.579
O 3.485 -3.122 1.553
O 1.813 -0.182 3.950
O 0.961 -4.370 1.553
Ni 2.584 -1.492 2.429
O 0.902 -7.596 1.553
Ni 0.000 0.000 3.035
Ni 2.583 -4.474 3.036
O 0.720 -1.457 1.554
Ni 0.000 -0.001 0.195
Te 2.584 -7.457 0.579
O -1.064 -1.479 3.950
```

Computed properties:
The total energy comes out at -5.23 eV/atom. The value obtained for the piezoelectric modulus e_max is 0.40 C/m².